PaInPd2 | PBE | relaxed

abc: 4.8607 4.8607 4.8607
angles: 60.00 60.00 60.00
Closest atoms and distances in Å follow each position.
Element x y z (fractional)
Pa 0.0000 0.0000 0.0000  8 Pd 2.98
In 0.5000 0.5000 0.5000  8 Pd 2.98
Pd 0.2500 0.2500 0.2500  4 In 2.98, 4 Pa 2.98
Pd 0.7500 0.7500 0.7500  4 In 2.98, 4 Pa 2.98

Calculated values
Space group: Fm-3m (225)
Calculated formation energy: -0.546 eV per atom

***

La6Ga3Co11 | PBE | relaxed

abc: 12.7075 12.7075 12.7075
angles: 142.73 142.73 53.72
Closest atoms and distances in Å follow each position.
Element x y z (fractional)
La 0.0000 0.0000 0.0000  8 Co 2.90-3.16
La 0.0861 0.2543 0.5000  3 Co 2.84-3.12
La 0.1196 0.9598 0.5000  1 Co 2.96, 3 Ga 3.23-3.24
La 0.2033 0.2033 0.0000  8 Co 2.95-3.17, 4 Ga 3.23
La 0.2543 0.7543 0.1682  3 Co 2.84-3.12
La 0.4598 0.6196 0.5000  1 Co 2.96, 3 Ga 3.23-3.24
La 0.5000 0.5000 0.0000  8 Co 2.90-3.16
La 0.5861 0.0861 0.8318  3 Co 2.84-3.12
La 0.6196 0.1196 0.1598  1 Co 2.96, 3 Ga 3.23-3.24
La 0.7033 0.7033 0.0000  8 Co 2.95-3.17, 4 Ga 3.23
La 0.7543 0.5861 0.5000  3 Co 2.84-3.12
La 0.9598 0.4598 0.8402  1 Co 2.96, 3 Ga 3.23-3.24
Ga 0.0722 0.5722 0.2566  6 Co 2.48-2.56
Ga 0.3156 0.8156 0.7435  6 Co 2.48-2.56
Ga 0.3519 0.3519 0.0000  10 La 3.33-3.40
Ga 0.5722 0.3156 0.5000  6 Co 2.48-2.56
Ga 0.8156 0.0722 0.5000  6 Co 2.48-2.56
Ga 0.8519 0.8519 0.0000  10 La 3.33-3.40
Co 0.0340 0.3116 0.1448  9 Co 2.41-2.55, 1 Ga 2.56
Co 0.1000 0.6000 0.5000  10 Co 2.36-2.41, 2 Ga 2.55
Co 0.1258 0.6258 0.7258  7 Co 2.36-2.59
Co 0.1668 0.8891 0.8552  9 Co 2.41-2.55, 1 Ga 2.56
Co 0.2245 0.3660 0.5000  9 Co 2.40-2.58
Co 0.3116 0.1668 0.2776  9 Co 2.41-2.55, 1 Ga 2.56
Co 0.3323 0.4857 0.5000  6 Co 2.40-2.58, 3 Ga 2.48-2.56
Co 0.3660 0.8660 0.1415  9 Co 2.40-2.58
Co 0.3891 0.6668 0.8552  9 Co 2.41-2.55, 1 Ga 2.56
Co 0.4000 0.1258 0.5000  7 Co 2.36-2.59
Co 0.4857 0.9857 0.1534  6 Co 2.40-2.58, 3 Ga 2.48-2.56
Co 0.5340 0.3891 0.7224  9 Co 2.41-2.55, 1 Ga 2.56
Co 0.6000 0.1000 0.5000  10 Co 2.36-2.41, 2 Ga 2.55
Co 0.6258 0.9000 0.5000  7 Co 2.36-2.59
Co 0.6668 0.8116 0.2776  9 Co 2.41-2.55, 1 Ga 2.56
Co 0.7245 0.2245 0.8585  9 Co 2.40-2.58
Co 0.8116 0.5340 0.1448  9 Co 2.41-2.55, 1 Ga 2.56
Co 0.8323 0.3323 0.8466  6 Co 2.40-2.58, 3 Ga 2.48-2.56
Co 0.8660 0.7245 0.5000  9 Co 2.40-2.58
Co 0.8891 0.0340 0.7224  9 Co 2.41-2.55, 1 Ga 2.56
Co 0.9000 0.4000 0.2742  7 Co 2.36-2.59
Co 0.9857 0.8323 0.5000  6 Co 2.40-2.58, 3 Ga 2.48-2.56

Calculated values
Space group: I4cm (108)
Calculated formation energy: -0.222 eV per atom

***

La4CeZr3O14 | PBE | relaxed

abc: 7.6165 7.6165 7.6165
angles: 60.81 60.81 60.81
Closest atoms and distances in Å follow each position.
Element x y z (fractional)
La 0.0000 0.0000 0.0000  6 O 2.39
La 0.0000 0.0000 0.5000  6 O 2.37-2.38
La 0.0000 0.5000 0.0000  6 O 2.37-2.38
La 0.5000 0.0000 0.0000  6 O 2.37-2.38
Ce 0.5000 0.5000 0.5000  8 O 2.38-2.39
Zr 0.0000 0.5000 0.5000  8 O 2.25-2.33
Zr 0.5000 0.0000 0.5000  8 O 2.25-2.33
Zr 0.5000 0.5000 0.0000  8 O 2.25-2.33
O 0.1216 0.6209 0.6209  1 Zr 2.25, 1 Ce 2.38, 2 La 2.38
O 0.1318 0.1318 0.6199  2 Zr 2.31, 2 La 2.37-2.39
O 0.1318 0.6199 0.1318  2 Zr 2.31, 2 La 2.37-2.39
O 0.3710 0.3710 0.3710  3 Zr 2.33, 1 Ce 2.39, 3 O 2.59
O 0.3791 0.3791 0.8784  1 Zr 2.25, 1 Ce 2.38, 2 La 2.38
O 0.3791 0.8784 0.3791  1 Zr 2.25, 1 Ce 2.38, 2 La 2.38
O 0.3801 0.8682 0.8682  2 Zr 2.31, 2 La 2.37-2.39
O 0.6199 0.1318 0.1318  2 Zr 2.31, 2 La 2.37-2.39
O 0.6209 0.1216 0.6209  1 Zr 2.25, 1 Ce 2.38, 2 La 2.38
O 0.6209 0.6209 0.1216  1 Zr 2.25, 1 Ce 2.38, 2 La 2.38
O 0.6290 0.6290 0.6290  3 Zr 2.33, 1 Ce 2.39, 3 O 2.59
O 0.8682 0.3801 0.8682  2 Zr 2.31, 2 La 2.37-2.39
O 0.8682 0.8682 0.3801  2 Zr 2.31, 2 La 2.37-2.39
O 0.8784 0.3791 0.3791  1 Zr 2.25, 1 Ce 2.38, 2 La 2.38

Calculated values
Space group: R-3m (166)
Calculated formation energy: -3.570 eV per atom

***

K2VCuS4 | PBE | relaxed

abc: 5.4288 7.0994 11.8143
angles: 84.96 76.72 67.52
Closest atoms and distances in Å follow each position.
Element x y z (fractional)
K 0.0000 0.0000 0.0000  8 S 3.29-3.54
K 0.1227 0.4956 0.7827  8 S 3.26-3.52
K 0.3754 0.9906 0.2861  8 S 3.22-3.52
K 0.7559 0.5022 0.4999  8 S 3.29-3.60
V 0.1864 0.9912 0.6475  4 S 2.14-2.24
V 0.9411 0.4990 0.1408  4 S 2.16-2.28
Cu 0.4349 0.5010 0.1463  4 S 2.30-2.35
Cu 0.6920 0.9962 0.6399  4 S 2.26-2.38
S 0.0064 0.6926 0.2527  1 V 2.16, 1 Cu 2.32
S 0.1055 0.7957 0.5335  1 V 2.24, 1 Cu 2.28
S 0.3264 0.2951 0.0360  1 V 2.19, 1 Cu 2.35
S 0.3831 0.1821 0.5344  1 V 2.21, 1 Cu 2.26
S 0.4633 0.7950 0.7551  1 V 2.19, 1 Cu 2.38
S 0.6574 0.6958 0.0365  1 V 2.18, 1 Cu 2.30
S 0.7445 0.2960 0.2542  1 V 2.28, 1 Cu 2.31
S 0.8110 0.1826 0.7543  1 V 2.14, 1 Cu 2.32

Calculated values
Space group: P1 (1)
Calculated formation energy: -1.260 eV per atom

***

LiTiO2 | PBE | relaxed

abc: 5.2871 5.2871 5.2871
angles: 32.02 32.02 32.02
Closest atoms and distances in Å follow each position.
Element x y z (fractional)
Li 0.0000 0.0000 0.0000  6 O 2.14
Ti 0.5000 0.5000 0.5000  6 O 2.06
O 0.2460 0.2460 0.2460  3 Ti 2.06, 3 Li 2.14
O 0.7540 0.7540 0.7540  3 Ti 2.06, 3 Li 2.14

Calculated values
Space group: R-3m (166)
Calculated formation energy: -2.957 eV per atom

***

Na5Te2H36AuO28 | PBE | relaxed

abc: 5.9945 9.0162 12.7937
angles: 98.15 98.46 92.71
Closest atoms and distances in Å follow each position.
Element x y z (fractional)
Na 0.0000 0.0000 0.0000  6 O 2.38-2.45, 2 H 2.45
Na 0.3287 0.2263 0.1815  6 O 2.33-2.52
Na 0.3475 0.3302 0.4543  6 O 2.36-2.58
Na 0.6525 0.6698 0.5457  6 O 2.36-2.58
Na 0.6713 0.7737 0.8185  6 O 2.33-2.52
Te 0.1835 0.2447 0.6942  6 O 1.89-2.07
Te 0.8165 0.7553 0.3058  6 O 1.89-2.07
H 0.0024 0.6840 0.0203  1 O 0.98
H 0.0974 0.9333 0.7669  1 O 0.99
H 0.1129 0.4863 0.2905  1 O 1.01
H 0.1457 0.7182 0.2011  1 O 0.99
H 0.1638 0.6427 0.5161  1 O 0.99
H 0.1653 0.8060 0.8380  1 O 1.00
H 0.2084 0.2495 0.9332  1 O 1.01
H 0.2157 0.5419 0.6088  1 O 1.00
H 0.2678 0.9151 0.1393  1 O 0.98
H 0.2698 0.5708 0.8104  1 O 1.02
H 0.2845 0.5036 0.0782  1 O 0.98
H 0.2973 0.0118 0.3185  1 O 0.98
H 0.3275 0.6383 0.9357  1 O 0.99
H 0.3759 0.5278 0.3175  1 O 0.99
H 0.3992 0.7687 0.3340  1 O 1.00
H 0.4347 0.6600 0.1170  1 O 1.03
H 0.4449 0.9410 0.6495  1 O 1.00
H 0.4900 0.0772 0.8798  1 O 1.00
H 0.5100 0.9228 0.1202  1 O 1.00
H 0.5551 0.0590 0.3505  1 O 1.00
H 0.5653 0.3400 0.8830  1 O 1.03
H 0.6008 0.2313 0.6660  1 O 1.00
H 0.6241 0.4722 0.6825  1 O 0.99
H 0.6725 0.3617 0.0643  1 O 0.99
H 0.7027 0.9882 0.6815  1 O 0.98
H 0.7155 0.4964 0.9218  1 O 0.98
H 0.7302 0.4292 0.1896  1 O 1.02
H 0.7322 0.0849 0.8607  1 O 0.98
H 0.7843 0.4581 0.3912  1 O 1.00
H 0.7916 0.7505 0.0668  1 O 1.01
H 0.8347 0.1940 0.1620  1 O 1.00
H 0.8362 0.3573 0.4839  1 O 0.99
H 0.8543 0.2818 0.7989  1 O 0.99
H 0.8871 0.5137 0.7095  1 O 1.01
H 0.9026 0.0667 0.2331  1 O 0.99
H 0.9976 0.3160 0.9797  1 O 0.98
Au 0.0000 0.0000 0.5000  4 O 2.03-2.04
O 0.0267 0.2258 0.5432  1 H 1.85, 1 Te 2.00, 1 Au 2.03
O 0.0574 0.8856 0.8273  2 H 0.99-1.00
O 0.1225 0.8026 0.2562  1 H 0.99
O 0.1314 0.2607 0.9991  2 H 0.98-1.01
O 0.1421 0.4523 0.7126  3 H 1.60-1.75
O 0.1776 0.0211 0.6503  2 H 1.79-1.89
O 0.2637 0.4408 0.2946  2 H 0.99-1.01
O 0.2780 0.5809 0.5491  2 H 0.99-1.00
O 0.2858 0.6107 0.0731  2 H 0.98-1.03
O 0.3387 0.6618 0.8634  2 H 0.99-1.02
O 0.3464 0.2310 0.8303  2 H 1.60-1.65
O 0.3650 0.9696 0.1005  2 H 0.98-1.00
O 0.4028 0.1004 0.3440  2 H 0.98-1.00
O 0.4698 0.2839 0.6346  1 H 1.00
O 0.5302 0.7161 0.3654  1 H 1.00
O 0.5972 0.8996 0.6560  2 H 0.98-1.00
O 0.6350 0.0304 0.8995  2 H 0.98-1.00
O 0.6536 0.7690 0.1697  2 H 1.60-1.65
O 0.6613 0.3382 0.1366  2 H 0.99-1.02
O 0.7142 0.3893 0.9269  2 H 0.98-1.03
O 0.7220 0.4191 0.4509  2 H 0.99-1.00
O 0.7363 0.5592 0.7054  2 H 0.99-1.01
O 0.8224 0.9789 0.3497  2 H 1.79-1.89
O 0.8579 0.5477 0.2874  3 H 1.60-1.75
O 0.8686 0.7393 0.0009  2 H 0.98-1.01
O 0.8775 0.1974 0.7438  1 H 0.99
O 0.9426 0.1144 0.1727  2 H 0.99-1.00
O 0.9733 0.7742 0.4568  1 H 1.85, 1 Te 2.00, 1 Au 2.03

Calculated values
Space group: P-1 (2)
Calculated formation energy: -1.365 eV per atom

***

KCd3 | PBE | relaxed

abc: 5.5306 5.5306 5.5306
angles: 60.00 60.00 60.00
Closest atoms and distances in Å follow each position.
Element x y z (fractional)
K 0.0000 0.0000 0.0000  8 Cd 3.39
Cd 0.2500 0.2500 0.2500  4 Cd 3.39, 4 K 3.39
Cd 0.5000 0.5000 0.5000  8 Cd 3.39
Cd 0.7500 0.7500 0.7500  4 Cd 3.39, 4 K 3.39

Calculated values
Space group: Fm-3m (225)
Calculated formation energy: 0.026 eV per atom

***

TmCdNi4 | PBE | relaxed

abc: 4.9360 4.9360 4.9360
angles: 60.00 60.00 60.00
Closest atoms and distances in Å follow each position.
Element x y z (fractional)
Tm 0.0000 0.0000 0.0000  12 Ni 2.90, 4 Cd 3.02
Cd 0.7500 0.7500 0.7500  12 Ni 2.89, 4 Tm 3.02
Ni 0.3757 0.3757 0.3757  6 Ni 2.45-2.48
Ni 0.3757 0.3757 0.8729  6 Ni 2.45-2.48
Ni 0.3757 0.8729 0.3757  6 Ni 2.45-2.48
Ni 0.8729 0.3757 0.3757  6 Ni 2.45-2.48

Calculated values
Space group: F-43m (216)
Calculated formation energy: -0.371 eV per atom